Record 1
Below is a relaxed structure of CrNi3Sb4, with properties calculated at the PBE level.

Cell lengths 4.0018, 4.0018, 10.5291 Å; angles 90.00, 90.00, 120.00 degrees
With the nearest neighbours (Å) after each atom.
Space group P-3m1 (No. 164)
Inequivalent atoms, fractional coordinates:
Cr 0.0000 0.0000 0.0000  2 Ni 2.66, 6 Sb 2.75
Ni 0.0000 0.0000 0.2526  6 Sb 2.59-2.67, 1 Ni 2.61, 1 Cr 2.66
Ni 0.0000 0.0000 0.5000  2 Ni 2.61, 6 Sb 2.64
Sb 0.3333 0.6667 0.1408  3 Ni 2.59, 3 Cr 2.75
Sb 0.3333 0.6667 0.6212  6 Ni 2.64-2.67

Output
Size of the total moment   3.2 μB per cell
Calculated formation energy   -203 kJ/mol of formula units

---

Record 2
Below is a relaxed structure of Cr2NiSe4, with properties calculated at the PBE level.

Cell lengths 12.6695, 3.6070, 6.2938 Å; angles 90.00, 117.46, 90.00 degrees
With the nearest neighbours (Å) after each atom.
Space group C2/m (No. 12)
Inequivalent atoms, fractional coordinates:
Cr 0.2400 0.0000 0.2190  6 Se 2.48-2.59
Ni 0.0000 0.5000 0.5000  6 Se 2.51
Se 0.1164 0.5000 0.9483  3 Cr 2.48-2.49, 1 Ni 2.51
Se 0.1321 0.0000 0.4748  2 Ni 2.51, 3 Cr 2.55-2.59

Output
Size of the total moment   9.0 μB per cell
Calculated formation energy   -471 kJ/mol of formula units

---

Record 3
Below is a relaxed structure of Cr3SiNi2, with properties calculated at the PBE level.

Cell lengths 10.3773, 10.3773, 10.3773 Å; angles 90.00, 90.00, 90.00 degrees
With the nearest neighbours (Å) after each atom.
Space group Fd-3m (No. 227, origin choice 2)
Inequivalent atoms, fractional coordinates:
Cr 0.0473 0.3750 0.3750  2 Ni 2.42, 4 Cr 2.53
Si 0.0000 0.0000 0.5000  6 Ni 2.26
Ni 0.0399 0.0399 0.7101  3 Si 2.26, 3 Cr 2.42, 3 Ni 2.50

Output
Size of the total moment   0.0 μB per cell
Calculated formation energy   -31 kJ/mol of formula units